A plane-wave DFT calculation with GGA+U was carried out for an optimized crystal structure of La2NiMoO6.

Calculated volume, Å³ per atom: 12.76
VASP energy, eV per formula unit: -72.67
Energy with MP2020 corrections, eV/atom: -8.2532
Calculated formation energy, eV per formula unit: -26.35

Lattice parameters (Å, degrees): 5.650 5.650 5.650 60.00 60.00 60.00
Element x y z (fractional)
La1 0.250 0.250 0.250
La2 0.750 0.750 0.750
Ni1 0.000 0.000 0.000
Mo1 0.500 0.500 0.500
O1 0.249 0.249 0.751
O2 0.249 0.751 0.249
O3 0.249 0.751 0.751
O4 0.751 0.249 0.249
O5 0.751 0.249 0.751
O6 0.751 0.751 0.249